A plane-wave DFT calculation with PBE was carried out for a relaxed Na6Y4Zr4Si5S7O48 crystal.

a = 18.450 Å, b = 9.194 Å, c = 23.457 Å
α = 89.97°, β = 89.79°, γ = 119.95°
Element x y z (fractional)
S 0.356 0.004 0.746
S 0.312 0.663 0.919
S 0.519 0.666 0.414
S 0.496 0.701 0.749
S 0.668 0.963 0.918
S 0.859 0.711 0.247
S 0.644 0.006 0.252
S 0.141 0.997 0.250
S 0.170 0.370 0.418
S 0.145 0.283 0.753
S 0.485 0.335 0.586
S 0.833 0.632 0.581
S 0.020 0.372 0.915
S 0.314 0.962 0.419
S 0.815 0.670 0.919
S 0.479 0.631 0.083
S 0.331 0.033 0.082
S 0.986 0.633 0.087
S 0.979 0.327 0.582
S 0.999 0.293 0.248
S 0.810 0.960 0.418
O 0.766 0.890 0.364
O 0.425 0.353 0.929
O 0.401 0.996 0.695
O 0.498 0.190 0.590
O 0.737 0.318 0.747
O 0.763 0.852 0.467
O 0.740 0.140 0.918
O 0.103 0.013 0.304
O 0.820 0.533 0.632
O 0.065 0.472 0.571
O 0.584 0.150 0.087
O 0.672 0.880 0.866
O 0.549 0.461 0.852
O 0.737 0.354 0.133
O 0.739 0.163 0.530
O 0.748 0.838 0.075
O 0.426 0.523 0.747
O 0.949 0.361 0.636
O 0.924 0.314 0.533
O 0.275 0.863 0.471
O 0.172 0.505 0.073
O 0.085 0.022 0.586
O 0.512 0.189 0.919
O 0.246 0.152 0.927
O 0.762 0.646 0.869
O 0.765 0.835 0.755
O 0.256 0.861 0.075
O 0.915 0.008 0.807
O 0.016 0.835 0.414
O 0.776 0.690 0.972
O 0.984 0.172 0.585
O 0.853 0.544 0.246
O 0.589 0.975 0.919
O 0.496 0.792 0.696
O 0.748 0.342 0.426
O 0.238 0.378 0.143
O 0.580 0.172 0.414
O 0.905 0.794 0.300
O 0.002 0.200 0.197
O 0.424 0.536 0.035
O 0.078 0.985 0.916
O 0.093 0.175 0.089
O 0.912 0.994 0.093
O 0.927 0.321 0.246
O 0.436 0.510 0.418
O 0.485 0.798 0.086
O 0.846 0.553 0.529
O 0.719 0.308 0.019
O 0.729 0.156 0.251
O 0.262 0.672 0.968
O 0.322 0.512 0.926
O 0.669 0.874 0.970
O 0.758 0.653 0.573
O 0.824 0.519 0.923
O 0.571 0.676 0.465
O 0.400 0.010 0.800
O 0.433 0.312 0.535
O 0.271 0.854 0.747
O 0.266 0.642 0.865
O 0.582 0.173 0.700
O 0.263 0.697 0.252
O 0.011 0.203 0.915
O 0.351 0.162 0.746
O 0.448 0.357 0.639
O 0.601 0.018 0.304
O 0.355 0.565 0.528
O 0.092 0.688 0.459
O 0.102 0.184 0.804
O 0.086 0.676 0.749
O 0.073 0.464 0.966
O 0.906 0.811 0.197
O 0.899 0.822 0.914
O 0.408 0.821 0.194
O 0.569 0.491 0.578
O 0.649 0.850 0.255
O 0.229 0.304 0.751
O 0.219 0.133 0.518
O 0.416 0.316 0.248
O 0.510 0.817 0.414
O 0.144 0.838 0.250
O 0.226 0.140 0.245
O 0.406 0.013 0.087
O 0.343 0.137 0.031
O 0.582 0.493 0.249
O 0.774 0.694 0.247
O 0.394 0.815 0.919
O 0.908 0.803 0.586
O 0.595 0.996 0.200
O 0.576 0.698 0.750
O 0.949 0.537 0.141
O 0.857 0.176 0.750
O 0.672 0.842 0.567
O 0.399 0.978 0.413
O 0.932 0.556 0.038
O 0.561 0.658 0.361
O 0.062 0.464 0.862
O 0.174 0.462 0.365
O 0.486 0.782 0.800
O 0.317 0.529 0.639
O 0.069 0.647 0.079
O 0.588 0.492 0.962
O 0.909 0.991 0.695
O 0.604 0.205 0.813
O 0.499 0.196 0.307
O 0.002 0.804 0.806
O 0.565 0.658 0.073
O 0.938 0.364 0.920
O 0.239 0.126 0.631
O 0.994 0.198 0.300
O 0.168 0.460 0.469
O 0.594 0.015 0.587
O 0.088 0.989 0.200
O 0.249 0.660 0.573
O 0.413 0.816 0.307
O 0.854 0.149 0.030
O 0.154 0.843 0.973
O 0.150 0.449 0.755
O 0.262 0.878 0.368
O 0.895 0.975 0.417
O 0.159 0.839 0.573
O 0.323 0.131 0.422
O 0.507 0.202 0.193
O 0.000 0.808 0.094
O 0.012 0.818 0.692
O 0.077 0.462 0.248
O 0.178 0.888 0.861
O 0.092 0.200 0.417
O 0.644 0.473 0.747
O 0.449 0.538 0.137
O 0.818 0.108 0.141
O 0.822 0.132 0.424
O 0.680 0.468 0.359
O 0.096 0.197 0.700
O 0.414 0.837 0.593
O 0.927 0.496 0.426
O 0.238 0.317 0.032
O 0.660 0.483 0.075
O 0.740 0.098 0.640
O 0.655 0.467 0.471
O 0.318 0.107 0.134
O 0.921 0.519 0.746
O 0.243 0.342 0.418
O 0.051 0.637 0.348
O 0.352 0.532 0.250
Y 0.171 0.692 0.814
Y 0.824 0.316 0.688
Y 0.822 0.315 0.179
Y 0.997 0.995 0.358
Y 0.170 0.664 0.314
Y 0.666 0.662 0.812
Y 0.329 0.341 0.186
Y 0.501 0.007 0.855
Y 0.832 0.322 0.987
Y 0.335 0.348 0.489
Y 0.323 0.334 0.679
Y 0.670 0.649 0.314
Si 0.162 0.965 0.919
Si 0.688 0.032 0.583
Si 0.003 0.700 0.748
Si 0.019 0.658 0.412
Si 0.188 0.346 0.084
Si 0.830 0.024 0.084
Si 0.334 0.647 0.584
Si 0.677 0.321 0.078
Si 0.517 0.373 0.914
Si 0.356 0.715 0.251
Si 0.645 0.295 0.752
Si 0.663 0.360 0.418
Si 0.856 0.999 0.752
Si 0.500 0.302 0.249
Si 0.177 0.036 0.578
Na 0.692 0.705 0.675
Na 0.178 0.714 0.663
Na 0.674 0.642 0.159
Na 0.345 0.352 0.326
Na 0.010 0.024 0.994
Na 0.823 0.341 0.347
Na 0.003 0.992 0.509
Na 0.500 0.362 0.757
Na 0.998 0.623 0.261
Na 0.827 0.330 0.818
Na 0.999 0.374 0.749
Na 0.664 0.309 0.921
Na 0.199 0.646 0.164
Na 0.507 0.987 0.504
Na 0.329 0.311 0.843
Na 0.499 0.630 0.250
Na 0.506 0.025 0.003
Na 0.163 0.007 0.438
Zr 0.162 0.666 0.017
Zr 0.164 0.672 0.523
Zr 0.998 0.978 0.851
Zr 0.662 0.656 0.518
Zr 0.498 0.017 0.352
Zr 0.509 0.000 0.644
Zr 0.829 0.336 0.481
Zr 0.664 0.656 0.021
Zr 0.328 0.323 0.980
Zr 0.999 0.985 0.650
Zr 0.498 0.013 0.149
Zr 0.003 0.016 0.139

## Properties
Formation energy from the elements, meV/atom: -2831